#w
! GGA+U CrH10S2N4O8, relaxed; values from VASP
! Density, g/cm³: 2.244
&SYSTEM
  ibrav = 0, nat = 50, ntyp = 5
/
ATOMIC_SPECIES
Cr 52.00 Cr.upf
H 1.01 H.upf
S 32.06 S.upf
N 14.01 N.upf
O 16.00 O.upf
ATOMIC_POSITIONS angstrom
Cr -0.159 -0.829 5.732
Cr -0.001 0.001 0.002
H 0.748 4.412 4.033
H 0.588 3.582 9.767
H -2.336 -0.650 7.435
H -2.177 0.180 1.703
H 0.882 0.910 3.216
H 0.723 0.080 8.949
H -2.470 2.852 8.253
H -2.310 3.682 2.520
H 1.454 1.747 4.588
H -5.921 1.714 4.550
H -3.042 2.016 6.880
H 4.333 2.049 6.918
H 2.475 -0.129 5.338
H -4.900 -0.162 5.301
H -4.061 3.892 6.130
H 3.313 3.924 6.168
H 2.569 1.116 3.453
H -4.806 1.083 3.416
H -4.157 2.646 8.015
H 3.218 2.679 8.053
S 0.809 3.357 1.433
S 0.650 2.527 7.166
S -2.397 0.406 10.035
S -2.237 1.236 4.302
N 1.639 0.955 3.917
N 1.479 0.125 9.650
N -3.226 2.808 7.552
N -3.067 3.637 1.819
N 1.689 -0.273 4.687
N -5.686 -0.306 4.650
N -3.276 4.036 6.781
N 4.098 4.069 6.819
O -0.265 4.422 1.532
O -0.424 3.592 7.265
O -1.322 -0.660 9.936
O -1.163 0.170 4.203
O 0.191 2.014 1.378
O 0.032 1.184 7.111
O -1.778 1.748 10.091
O -1.619 2.578 4.358
O 1.655 3.479 2.662
O 1.496 2.649 8.395
O -3.243 0.284 8.807
O -3.083 1.113 3.074
O -5.894 2.761 5.919
O 1.482 2.793 5.956
O 4.306 1.002 5.550
O -3.069 0.969 5.512
CELL_PARAMETERS angstrom
-1.268 5.422 0.003
-7.534 -0.862 5.695
7.215 -0.797 5.771


#x
! GGA+U CrH10S2N4O8, relaxed; values from VASP
! Density, g/cm³: 2.266
&SYSTEM
  ibrav = 0, nat = 25, ntyp = 5
/
ATOMIC_SPECIES
Cr 52.00 Cr.upf
H 1.01 H.upf
S 32.06 S.upf
N 14.01 N.upf
O 16.00 O.upf
ATOMIC_POSITIONS angstrom
Cr 0.000 0.000 0.000
H -0.191 1.150 3.959
H -0.412 4.954 5.057
H -0.096 2.190 5.631
H 0.409 0.284 6.628
H 1.021 1.408 4.256
H 2.059 3.889 2.878
H 2.671 5.013 0.506
H 3.176 3.107 1.503
H 3.493 0.343 2.077
H 3.271 4.147 3.175
S 0.332 3.659 1.790
S 2.749 1.638 5.344
N -0.028 0.058 5.841
N 0.192 1.280 4.835
N 2.889 4.017 2.300
N 3.108 5.239 1.293
O -0.196 2.241 1.710
O -0.443 4.832 1.911
O 1.299 3.840 0.296
O 0.639 3.855 3.324
O 2.441 1.442 3.811
O 1.781 1.456 6.838
O 3.523 0.465 5.223
O 3.276 3.056 5.424
CELL_PARAMETERS angstrom
5.536 0.000 0.000
-0.757 5.755 0.000
-1.699 -0.458 7.134


Sorted by energy, starting with the most stable: #w, #x.


#w
! GGA+U Rb3CrH6O6, relaxed; values from VASP
! Density, g/cm³: 3.103
&SYSTEM
  ibrav = 0, nat = 32, ntyp = 4
/
ATOMIC_SPECIES
Rb 85.47 Rb.upf
Cr 52.00 Cr.upf
H 1.01 H.upf
O 16.00 O.upf
ATOMIC_POSITIONS angstrom
Rb -3.526 0.419 4.963
Rb -2.126 -2.844 6.948
Rb 1.400 -3.263 4.963
Rb -1.400 3.263 6.948
Rb 2.126 2.844 4.963
Rb 3.526 -0.419 6.948
Cr 0.000 0.000 0.000
Cr 0.000 0.000 5.956
H -0.279 -1.387 2.032
H -1.061 0.935 2.032
H -1.061 -0.935 3.924
H 1.340 0.452 2.032
H -0.279 1.387 3.924
H 1.340 -0.452 3.924
H -1.340 0.452 7.988
H 0.279 -1.387 7.988
H -1.340 -0.452 9.879
H 1.061 0.935 7.988
H 1.061 -0.935 9.879
H 0.279 1.387 9.879
O -4.868 -1.790 6.736
O -0.884 -5.111 5.175
O -0.884 -1.415 4.751
O -3.984 3.321 5.175
O -0.784 1.473 4.751
O -1.668 0.058 7.160
O 1.668 -0.058 4.751
O 0.784 -1.473 7.160
O 3.984 -3.321 6.736
O 0.884 1.415 7.160
O 0.884 5.111 6.736
O 4.868 1.790 5.175
CELL_PARAMETERS angstrom
5.652 3.263 3.970
-5.652 3.263 3.970
0.000 -6.526 3.970


#x
! GGA+U Rb3CrH6O6, relaxed; values from VASP
! Density, g/cm³: 2.577
&SYSTEM
  ibrav = 0, nat = 32, ntyp = 4
/
ATOMIC_SPECIES
Rb 85.47 Rb.upf
Cr 52.00 Cr.upf
H 1.01 H.upf
O 16.00 O.upf
ATOMIC_POSITIONS angstrom
Rb -3.353 0.557 6.281
Rb -2.159 -2.626 8.794
Rb 1.195 -3.182 6.281
Rb -1.195 3.182 8.794
Rb 2.159 2.626 6.281
Rb 3.353 -0.557 8.794
Cr 0.000 0.000 0.000
Cr 0.000 0.000 7.537
H -0.693 -1.287 3.392
H -0.768 -1.243 4.145
H -0.768 1.243 3.392
H -0.693 1.287 4.145
H 1.461 0.043 3.392
H 1.461 -0.043 4.145
H -1.461 0.043 10.929
H -1.461 -0.043 11.683
H 0.693 -1.287 10.929
H 0.768 -1.243 11.683
H 0.768 1.243 10.929
H 0.693 1.287 11.683
O -0.935 -5.197 6.062
O -4.968 -1.789 9.013
O -4.033 3.408 6.062
O -0.935 -1.168 6.501
O -1.479 0.225 8.574
O -0.544 1.394 6.501
O 0.544 -1.394 8.574
O 1.479 -0.225 6.501
O 0.935 1.168 8.574
O 4.033 -3.408 9.013
O 4.968 1.789 6.062
O 0.935 5.197 9.013
CELL_PARAMETERS angstrom
5.512 3.182 5.025
-5.512 3.182 5.025
0.000 -6.365 5.025


Sorted by energy, starting with the most stable: #w, #x.


#w
! GGA+U HfMg6CrO8, relaxed; values from VASP
! Density, g/cm³: 4.955
&SYSTEM
  ibrav = 0, nat = 16, ntyp = 4
/
ATOMIC_SPECIES
Hf 178.49 Hf.upf
Mg 24.30 Mg.upf
Cr 52.00 Cr.upf
O 16.00 O.upf
ATOMIC_POSITIONS angstrom
Hf 0.000 0.000 0.000
Mg 0.000 0.000 4.540
Mg 0.000 2.157 2.393
Mg 0.000 2.157 6.688
Mg 2.157 0.000 2.393
Mg 2.157 0.000 6.688
Mg 2.157 2.157 4.540
Cr 2.157 2.157 0.000
O 0.000 0.000 2.287
O 0.000 0.000 6.794
O 0.000 2.157 0.000
O 0.000 2.157 4.540
O 2.157 0.000 0.000
O 2.157 0.000 4.540
O 2.157 2.157 2.483
O 2.157 2.157 6.598
CELL_PARAMETERS angstrom
4.314 0.000 0.000
0.000 4.314 0.000
0.000 0.000 9.081


#x
! GGA+U HfMg6CrO8, relaxed; values from VASP
! Density, g/cm³: 4.842
&SYSTEM
  ibrav = 0, nat = 16, ntyp = 4
/
ATOMIC_SPECIES
Hf 178.49 Hf.upf
Mg 24.30 Mg.upf
Cr 52.00 Cr.upf
O 16.00 O.upf
ATOMIC_POSITIONS angstrom
Hf 0.000 0.000 0.000
Mg 0.000 2.181 2.418
Mg 0.000 2.181 6.674
Mg 2.181 0.000 2.418
Mg 2.181 0.000 6.674
Mg 2.181 2.181 0.000
Mg 2.181 2.181 4.546
Cr 0.000 0.000 4.546
O 0.000 0.000 2.077
O 0.000 0.000 7.015
O 0.000 2.181 0.000
O 0.000 2.181 4.546
O 2.181 0.000 0.000
O 2.181 0.000 4.546
O 2.181 2.181 2.298
O 2.181 2.181 6.794
CELL_PARAMETERS angstrom
4.361 0.000 0.000
0.000 4.361 0.000
0.000 0.000 9.092


Sorted by energy, starting with the most stable: #w, #x.


#w
! GGA+U K3NaMgCr2O8, relaxed; values from VASP
! Density, g/cm³: 2.408
&SYSTEM
  ibrav = 0, nat = 15, ntyp = 5
/
ATOMIC_SPECIES
K 39.10 K.upf
Na 22.99 Na.upf
Mg 24.30 Mg.upf
Cr 52.00 Cr.upf
O 16.00 O.upf
ATOMIC_POSITIONS angstrom
K 0.000 0.000 0.000
K 2.602 0.000 4.864
K 8.670 0.000 2.456
Na -0.476 0.000 3.660
Mg 5.636 0.000 3.660
Cr 3.784 0.000 1.608
Cr 7.488 0.000 5.712
O 4.600 1.304 2.560
O 2.133 0.000 1.971
O 4.283 0.000 0.029
O 6.672 1.304 4.759
O 4.600 -1.304 2.560
O 6.988 0.000 7.291
O 9.139 0.000 5.349
O 6.672 -1.304 4.759
CELL_PARAMETERS angstrom
6.112 -3.057 0.000
6.112 3.057 0.000
-0.952 0.000 7.320


#x
! GGA+U K3NaMgCr2O8, relaxed; values from VASP
! Density, g/cm³: 2.551
&SYSTEM
  ibrav = 0, nat = 15, ntyp = 5
/
ATOMIC_SPECIES
K 39.10 K.upf
Na 22.99 Na.upf
Mg 24.30 Mg.upf
Cr 52.00 Cr.upf
O 16.00 O.upf
ATOMIC_POSITIONS angstrom
K 0.000 0.000 0.000
K 3.166 1.087 2.576
K 6.766 1.087 5.123
Na 4.966 -2.488 3.849
Mg 5.065 -0.103 0.000
Cr 3.165 0.913 5.906
Cr 6.767 0.913 1.793
O 3.873 2.271 5.191
O 1.628 0.501 5.364
O 3.266 1.086 7.666
O 6.059 2.271 2.507
O 6.666 1.086 0.032
O 4.288 -0.498 5.818
O 5.644 -0.498 1.880
O 8.304 0.501 2.335
CELL_PARAMETERS angstrom
5.065 -3.310 0.000
5.065 3.310 0.000
-0.198 0.000 7.699


Sorted by energy, starting with the most stable: #x, #w.


#w
! GGA+U KMg6CrO8, relaxed; values from VASP
! Density, g/cm³: 3.524
&SYSTEM
  ibrav = 0, nat = 16, ntyp = 4
/
ATOMIC_SPECIES
K 39.10 K.upf
Mg 24.30 Mg.upf
Cr 52.00 Cr.upf
O 16.00 O.upf
ATOMIC_POSITIONS angstrom
K 0.000 0.000 0.000
Mg 0.000 2.222 2.122
Mg 0.000 2.222 6.583
Mg 2.222 0.000 2.122
Mg 2.222 0.000 6.583
Mg 2.222 2.222 0.000
Mg 2.222 2.222 4.352
Cr 0.000 0.000 4.352
O 0.000 0.000 2.421
O 0.000 0.000 6.284
O 0.000 2.222 0.000
O 0.000 2.222 4.352
O 2.222 0.000 0.000
O 2.222 0.000 4.352
O 2.222 2.222 2.211
O 2.222 2.222 6.494
CELL_PARAMETERS angstrom
4.445 0.000 0.000
0.000 4.445 0.000
0.000 0.000 8.705


#x
! GGA+U KMg6CrO8, relaxed; values from VASP
! Density, g/cm³: 3.557
&SYSTEM
  ibrav = 0, nat = 16, ntyp = 4
/
ATOMIC_SPECIES
K 39.10 K.upf
Mg 24.30 Mg.upf
Cr 52.00 Cr.upf
O 16.00 O.upf
ATOMIC_POSITIONS angstrom
K 0.000 0.000 0.000
Mg 0.000 0.000 4.369
Mg 0.000 2.208 2.224
Mg 0.000 2.208 6.515
Mg 2.208 0.000 2.224
Mg 2.208 0.000 6.515
Mg 2.208 2.208 4.369
Cr 2.208 2.208 0.000
O 0.000 0.000 2.409
O 0.000 0.000 6.329
O 0.000 2.208 0.000
O 0.000 2.208 4.369
O 2.208 0.000 0.000
O 2.208 0.000 4.369
O 2.208 2.208 2.082
O 2.208 2.208 6.657
CELL_PARAMETERS angstrom
4.415 0.000 0.000
0.000 4.415 0.000
0.000 0.000 8.739


Sorted by energy, starting with the most stable: #w, #x.


#w
! GGA+U KCrO2, relaxed; values from VASP
! Density, g/cm³: 4.036
&SYSTEM
  ibrav = 0, nat = 8, ntyp = 3
/
ATOMIC_SPECIES
K 39.10 K.upf
Cr 52.00 Cr.upf
O 16.00 O.upf
ATOMIC_POSITIONS angstrom
K 0.000 1.800 3.007
K 1.559 0.900 9.021
Cr 0.000 0.000 0.000
Cr 0.000 0.000 6.014
O 0.000 1.800 7.050
O 0.000 1.800 10.991
O 1.559 0.900 1.036
O 1.559 0.900 4.978
CELL_PARAMETERS angstrom
3.118 0.000 0.000
-1.559 2.701 0.000
0.000 0.000 12.027


#x
! GGA+U KCrO2, relaxed; values from VASP
! Density, g/cm³: 1.437
&SYSTEM
  ibrav = 0, nat = 4, ntyp = 3
/
ATOMIC_SPECIES
K 39.10 K.upf
Cr 52.00 Cr.upf
O 16.00 O.upf
ATOMIC_POSITIONS angstrom
K 0.000 0.000 0.000
Cr 0.000 0.000 4.159
O 0.000 0.000 2.436
O 0.000 0.000 5.883
CELL_PARAMETERS angstrom
4.444 0.000 0.000
-2.222 3.849 0.000
0.000 0.000 8.319


Sorted by energy, starting with the most stable: #w, #x.